# FeH6C2O6 (GGA+U, optimized geometry)
data_FeH6C2O6
_chemical_formula_sum 'Fe4 H24 C8 O24'
_symmetry_space_group_name_H-M 'P 1'
_symmetry_Int_Tables_number 1
_symmetry_space_group_name_Hall 'P 1'
_cell_length_a 8.8726
_cell_length_b 7.2527
_cell_length_c 9.5273
_cell_angle_alpha 90.00
_cell_angle_beta 97.48
_cell_angle_gamma 90.00
loop_
_atom_site_label
_atom_site_fract_x
_atom_site_fract_y
_atom_site_fract_z
_atom_site_occupancy
Fe1 0.0000 0.0000 0.0000 1
Fe2 0.0000 0.5000 0.5000 1
Fe3 0.5000 0.0000 0.5000 1
Fe4 0.5000 0.5000 0.0000 1
H1 0.0331 0.1474 0.2788 1
H2 0.0331 0.3526 0.7788 1
H3 0.1721 0.0262 0.6101 1
H4 0.1721 0.4738 0.1101 1
H5 0.1983 0.0983 0.2370 1
H6 0.1983 0.4017 0.7370 1
H7 0.2662 0.6056 0.4543 1
H8 0.2662 0.8944 0.9543 1
H9 0.2911 0.1093 0.9901 1
H10 0.2911 0.3907 0.4901 1
H11 0.4333 0.7108 0.7256 1
H12 0.4333 0.7892 0.2256 1
H13 0.5667 0.2108 0.7744 1
H14 0.5667 0.2892 0.2744 1
H15 0.7089 0.6093 0.5099 1
H16 0.7089 0.8907 0.0099 1
H17 0.7338 0.1056 0.0457 1
H18 0.7338 0.3944 0.5457 1
H19 0.8017 0.5983 0.2630 1
H20 0.8017 0.9017 0.7630 1
H21 0.8279 0.5262 0.8899 1
H22 0.8279 0.9738 0.3899 1
H23 0.9669 0.6474 0.2212 1
H24 0.9669 0.8526 0.7212 1
C1 0.1740 0.6152 0.0668 1
C2 0.1740 0.8848 0.5668 1
C3 0.4612 0.2230 0.2240 1
C4 0.4612 0.2770 0.7240 1
C5 0.5388 0.7230 0.2760 1
C6 0.5388 0.7770 0.7760 1
C7 0.8260 0.1152 0.4332 1
C8 0.8260 0.3848 0.9332 1
O1 0.0628 0.7197 0.0837 1
O2 0.0628 0.7803 0.5837 1
O3 0.0892 0.1091 0.1994 1
O4 0.0892 0.3909 0.6994 1
O5 0.2242 0.0203 0.9329 1
O6 0.2242 0.4797 0.4329 1
O7 0.2878 0.6609 0.0051 1
O8 0.2878 0.8391 0.5051 1
O9 0.3975 0.1045 0.2943 1
O10 0.3975 0.3955 0.7943 1
O11 0.4106 0.2293 0.5978 1
O12 0.4106 0.2707 0.0978 1
O13 0.5894 0.7293 0.9022 1
O14 0.5894 0.7707 0.4022 1
O15 0.6025 0.6045 0.2057 1
O16 0.6025 0.8955 0.7057 1
O17 0.7122 0.1609 0.4949 1
O18 0.7122 0.3391 0.9949 1
O19 0.7758 0.5203 0.5671 1
O20 0.7758 0.9797 0.0671 1
O21 0.9108 0.6091 0.3006 1
O22 0.9108 0.8909 0.8006 1
O23 0.9372 0.2197 0.4163 1
O24 0.9372 0.2803 0.9163 1
# raw total energy = -5.995 eV per atom
# symmetry = No. 14
# crystal system = monoclinic
# energy of formation = -1.289 eV per atom